(1)
Computed, not measured: MnH6C2O6 after structural relaxation at the GGA+U level of DFT.

Cell: 8.9486 7.3663 9.6700 Å, 90.00 97.32 90.00°
With the nearest neighbours (Å) after each atom.
Space group P2_1/c (No. 14)
One atom of each set of equivalent atoms:
Mn  0.0000  0.0000  0.0000 [2 per cell]  6 O 2.18-2.28
Mn  0.5000  0.0000  0.5000 [2 per cell]  6 O 2.20-2.24
H  0.0341  0.1473  0.2822 [4 per cell]  1 O 1.00
H  0.1716  0.0259  0.6082 [4 per cell]  1 C 1.11
H  0.1967  0.0977  0.2393 [4 per cell]  1 O 0.99
H  0.2691  0.6085  0.4589 [4 per cell]  1 O 1.00
H  0.2948  0.1030  0.9929 [4 per cell]  1 O 0.99
H  0.4370  0.7176  0.7289 [4 per cell]  1 C 1.11
C  0.1743  0.6141  0.0669 [4 per cell]  1 H 1.11
C  0.4590  0.2157  0.2216 [4 per cell]  1 H 1.11
O  0.0633  0.7163  0.0814 [4 per cell]  1 C 1.27
O  0.0887  0.1107  0.2031 [4 per cell]  2 H 0.99-1.00
O  0.2290  0.0155  0.9354 [4 per cell]  2 H 0.99-1.00
O  0.2892  0.6609  0.0092 [4 per cell]  1 C 1.28
O  0.3969  0.0990  0.2924 [4 per cell]  1 C 1.27
O  0.4094  0.2388  0.5973 [4 per cell]  1 C 1.27

VASP energy = -0.4521 Ry/atom
energy of formation from the pure elements = -1.36 eV/atom
calculated volume = 10.5 A^3/atom
total magnetic moment = 0.0 μB/f.u.

***

(2)
Computed, not measured: MnH4C2O6 after structural relaxation at the GGA+U level of DFT.

Cell: 11.0686 5.7315 9.3070 Å, 90.00 120.75 90.00°
With the nearest neighbours (Å) after each atom.
Space group C2/c (No. 15)
One atom of each set of equivalent atoms:
Mn  0.0000  0.1888  0.2500 [4 per cell]  6 O 2.20-2.21
H  0.1794  0.1265  0.1370 [8 per cell]  1 O 1.00
H  0.2313  0.4303  0.6678 [8 per cell]  1 O 0.98
C  0.0498  0.3136  0.8472 [8 per cell]  2 O 1.26-1.27
O  0.0849  0.1161  0.9193 [8 per cell]  1 C 1.27
O  0.0884  0.4902  0.4184 [8 per cell]  1 C 1.26
O  0.1998  0.1780  0.2494 [8 per cell]  2 H 0.98-1.00

energy relative to the lowest polymorph listed for this composition = 18 meV per atom
VASP energy = -0.4792 Ry/atom
energy of formation from the pure elements = -1.51 eV/atom
calculated volume = 9.8 A^3/atom
total magnetic moment = 5.0 μB/f.u.

***

(3)
Computed, not measured: Mn4H2C8O17 after structural relaxation at the GGA+U level of DFT.

Cell: 11.9457 9.1324 7.1898 Å, 90.00 90.00 90.00°
With the nearest neighbours (Å) after each atom.
Space group Pnc2 (No. 30)
One atom of each set of equivalent atoms:
Mn  0.2016  0.1819  0.0000 [4 per cell]  7 O 2.18-2.37
Mn  0.2960  0.6810  0.4930 [4 per cell]  7 O 2.18-2.37
H  0.4924  0.5870  0.9891 [4 per cell]  1 O 0.98
C  0.0336  0.5733  0.5081 [4 per cell]  2 O 1.25-1.27
C  0.2436  0.5030  0.1046 [4 per cell]  2 O 1.26-1.27
C  0.2567  0.0026  0.3906 [4 per cell]  2 O 1.26-1.27
C  0.4664  0.0730  0.9838 [4 per cell]  2 O 1.26-1.27
O  0.0192  0.1921  0.0056 [4 per cell]  1 C 1.25
O  0.1396  0.5579  0.5109 [4 per cell]  1 C 1.27
O  0.2110  0.1135  0.6823 [4 per cell]  1 C 1.26
O  0.2323  0.1230  0.3130 [4 per cell]  1 C 1.27
O  0.2653  0.6245  0.1815 [4 per cell]  1 C 1.27
O  0.2895  0.6136  0.8119 [4 per cell]  1 C 1.26
O  0.3606  0.0589  0.9845 [4 per cell]  1 C 1.27
O  0.4796  0.6915  0.4864 [4 per cell]  1 C 1.26
O  0.5000  0.0000  0.5672 [2 per cell]  2 H 0.98

VASP energy = -0.5586 Ry/atom
energy of formation from the pure elements = -1.70 eV/atom
calculated volume = 12.7 A^3/atom
total magnetic moment = 0.0 μB/f.u.

***

(4)
Computed, not measured: MnPH2C4O4 after structural relaxation at the GGA+U level of DFT.

Cell: 9.1217 9.8364 13.0230 Å, 90.00 112.38 90.00°
With the nearest neighbours (Å) after each atom.
Space group P2/c (No. 13)
One atom of each set of equivalent atoms:
Mn  0.0000  0.1005  0.2500 [2 per cell]  4 C 1.82-1.86
Mn  0.2470  0.2813  0.8697 [4 per cell]  4 C 1.82-1.86
P  0.0000  0.3798  0.7500 [2 per cell]  2 H 1.42
P  0.1110  0.0771  0.8836 [4 per cell]  2 H 1.42
H  0.0076  0.1155  0.5759 [4 per cell]  1 P 1.42
H  0.0415  0.4777  0.6855 [4 per cell]  1 P 1.42
H  0.2120  0.0153  0.9842 [4 per cell]  1 P 1.42
C  0.0860  0.2261  0.3597 [4 per cell]  1 O 1.16
C  0.1863  0.0995  0.2236 [4 per cell]  1 O 1.16
C  0.2044  0.3481  0.9887 [4 per cell]  1 O 1.16
C  0.2832  0.2253  0.7455 [4 per cell]  1 O 1.16
C  0.3453  0.4403  0.8623 [4 per cell]  1 O 1.16
C  0.4287  0.2011  0.9644 [4 per cell]  1 O 1.16
O  0.1399  0.3062  0.4293 [4 per cell]  1 C 1.16
O  0.1822  0.3927  0.0638 [4 per cell]  1 C 1.16
O  0.3022  0.1052  0.2071 [4 per cell]  1 C 1.16
O  0.3140  0.1997  0.6691 [4 per cell]  1 C 1.16
O  0.4102  0.4599  0.3572 [4 per cell]  1 C 1.16
O  0.4569  0.1507  0.4736 [4 per cell]  1 C 1.16

VASP energy = -0.4950 Ry/atom
energy of formation from the pure elements = -0.60 eV/atom
calculated volume = 15.0 A^3/atom
total magnetic moment = 0.0 μB/f.u.